[1]
{
  "formula": "Sm3Dy",
  "functional": "r2SCAN",
  "state": "relaxed",
  "lattice": [[7.3553, 0.0000, 0.0000], [-3.6776, 6.3698, 0.0000], [0.0000, 0.0000, 5.8736]],
  "species": ["Sm", "Sm", "Sm", "Sm", "Sm", "Sm", "Dy", "Dy"],
  "fractional_positions": [[0.1685, 0.3369, 0.2500], [0.1685, 0.8315, 0.2500], [0.3369, 0.1685, 0.7500], [0.6631, 0.8315, 0.2500], [0.8315, 0.1685, 0.7500], [0.8315, 0.6631, 0.7500], [0.3333, 0.6667, 0.7500], [0.6667, 0.3333, 0.2500]],
  "polymorph_energy_mev_per_atom": 8,
  "space_group": "P6_3/mmc, No. 194",
  "dft_energy_ev_per_atom": -30.2841
}



[2]
{
  "formula": "Sm3Dy",
  "functional": "r2SCAN",
  "state": "relaxed",
  "lattice": [[5.1413, 0.0000, 0.0000], [0.0000, 5.1413, 0.0000], [0.0000, 0.0000, 5.1413]],
  "species": ["Sm", "Sm", "Sm", "Dy"],
  "fractional_positions": [[0.0000, 0.0000, 0.5000], [0.0000, 0.5000, 0.0000], [0.5000, 0.0000, 0.0000], [0.5000, 0.5000, 0.5000]],
  "polymorph_energy_mev_per_atom": 0,
  "space_group": "Pm-3m, No. 221",
  "dft_energy_ev_per_atom": -30.2923
}



[3]
{
  "formula": "SmDy3",
  "functional": "r2SCAN",
  "state": "relaxed",
  "lattice": [[-2.5234, 2.5234, 5.0399], [2.5234, -2.5234, 5.0399], [2.5234, 2.5234, -5.0399]],
  "species": ["Sm", "Dy", "Dy", "Dy"],
  "fractional_positions": [[0.0000, 0.0000, 0.0000], [0.2500, 0.7500, 0.5000], [0.5000, 0.5000, 0.0000], [0.7500, 0.2500, 0.5000]],
  "polymorph_energy_mev_per_atom": 26,
  "space_group": "I4/mmm, No. 139",
  "dft_energy_ev_per_atom": -31.3824
}